First-principles (PBE with a Hubbard U) data for crystalline LiVFeP2H2O10 at its relaxed geometry, as listed in Materials Project.

Computed properties:
Symmetry = P1, No. 1
Energy above the lowest structure with this stoichiometry = 5 meV per atom
Formation enthalpy at 0 K = -2.30 eV per atom

abc: 6.9054 7.4842 11.1192
angles: 99.29 107.44 89.42
Element x y z (fractional)
H1 0.6896 0.9982 0.3412
H2 0.9567 0.3300 0.9814
H3 0.6426 0.6670 0.3258
H4 0.0427 0.6692 0.0186
H5 0.3088 0.0025 0.6584
H6 0.3757 0.3367 0.6848
O1 0.4390 0.2550 0.9037
O2 0.2606 0.9075 0.9779
O3 0.2278 0.0888 0.4295
O4 0.0748 0.7599 0.6858
O5 0.9266 0.7436 0.0272
O6 0.1407 0.0791 0.1882
O7 0.7356 0.5812 0.2969
O8 0.0728 0.2555 0.9721
O9 0.9305 0.2423 0.3204
O10 0.4173 0.7648 0.3866
O11 0.8120 0.3968 0.5243
O12 0.4022 0.4229 0.3448
O13 0.0822 0.1009 0.7215
O14 0.7563 0.4300 0.0505
O15 0.6004 0.5778 0.6523
O16 0.7708 0.9201 0.5730
O17 0.5762 0.2378 0.6156
O18 0.7392 0.0910 0.0210
O19 0.2587 0.4101 0.6939
O20 0.8933 0.4197 0.7656
O21 0.1056 0.5792 0.2359
O22 0.1941 0.5844 0.4773
O23 0.4782 0.7259 0.8556
O24 0.3996 0.9154 0.6291
O25 0.5974 0.0847 0.3698
O26 0.2446 0.5681 0.9481
O27 0.5214 0.2700 0.1425
O28 0.8580 0.9216 0.8116
O29 0.9173 0.9000 0.2785
O30 0.5618 0.7461 0.0945
P1 0.3869 0.7406 0.9675
P2 0.7214 0.4062 0.6357
P3 0.0550 0.0731 0.3002
P4 0.6133 0.2580 0.0311
P5 0.9456 0.9248 0.6996
P6 0.2788 0.5926 0.3651
V1 0.5024 0.0001 0.5011
V2 0.8290 0.6644 0.1664
V3 0.1692 0.3330 0.8344
Fe1 0.3310 0.6727 0.6659
Fe2 0.9994 0.9982 0.9994
Fe3 0.6661 0.3312 0.3327
Li1 0.2508 0.3116 0.1589
Li2 0.7493 0.6880 0.8400
Li3 0.0835 0.3534 0.5071

***

First-principles (PBE with a Hubbard U) data for crystalline LiVFeP2H2O10 at its relaxed geometry, as listed in Materials Project.

Computed properties:
Symmetry = P-1, No. 2
Energy above the lowest structure with this stoichiometry = 4 meV per atom
Formation enthalpy at 0 K = -2.30 eV per atom

abc: 5.3025 7.4239 10.4461
angles: 105.15 98.07 110.16
Element x y z (fractional)
O1 0.3174 0.6590 0.9340
O2 0.7784 0.1069 0.8690
O3 0.3167 0.2869 0.8209
O4 0.3089 0.6487 0.4360
O5 0.7956 0.1308 0.3680
O6 0.1811 0.3770 0.0711
O7 0.8261 0.0776 0.1069
O8 0.1878 0.3822 0.5778
O9 0.8302 0.0720 0.5975
O10 0.8189 0.6230 0.9289
O11 0.6833 0.7131 0.1791
O12 0.1698 0.9280 0.4025
O13 0.6826 0.3410 0.0660
O14 0.6911 0.3513 0.5640
O15 0.8122 0.6178 0.4222
O16 0.6696 0.7173 0.6854
O17 0.2216 0.8931 0.1310
O18 0.1739 0.9224 0.8931
O19 0.2044 0.8692 0.6320
O20 0.3304 0.2827 0.3146
H1 0.3078 0.3435 0.7452
H2 0.7132 0.6531 0.7526
H3 0.6922 0.6565 0.2548
H4 0.2868 0.3469 0.2474
Li1 0.4348 0.8447 0.7831
Li2 0.5652 0.1553 0.2169
Fe1 0.9989 0.9932 0.2535
Fe2 0.0011 0.0068 0.7465
P1 0.8692 0.2242 0.0234
P2 0.1308 0.7758 0.9766
P3 0.8739 0.2304 0.5247
P4 0.1261 0.7696 0.4753
V1 0.5000 0.5000 0.5000
V2 0.5000 0.5000 0.0000

***

First-principles (PBE with a Hubbard U) data for crystalline Li2FeH8S2O12 at its relaxed geometry, as listed in Materials Project.

Computed properties:
Symmetry = P2_1/c, No. 14
Formation enthalpy at 0 K = -1.66 eV per atom

abc: 12.1294 9.3410 9.4660
angles: 90.00 94.79 90.00
Element x y z (fractional)
O1 0.3300 0.5244 0.9534
O2 0.9882 0.0292 0.2218
O3 0.6910 0.4527 0.3806
O4 0.0190 0.7710 0.0465
O5 0.8475 0.3720 0.1108
O6 0.0378 0.3383 0.6570
O7 0.3370 0.6030 0.3721
O8 0.8259 0.6333 0.1091
O9 0.0118 0.9708 0.7782
O10 0.9810 0.2290 0.9535
O11 0.8012 0.1439 0.4399
O12 0.4882 0.4708 0.2218
O13 0.6700 0.4756 0.0466
O14 0.1630 0.1030 0.6279
O15 0.6838 0.0041 0.1130
O16 0.6577 0.9628 0.4323
O17 0.4622 0.8383 0.3430
O18 0.9622 0.6617 0.3430
O19 0.1838 0.4959 0.1130
O20 0.4810 0.2710 0.9535
O21 0.5190 0.7290 0.0465
O22 0.1577 0.5372 0.4323
O23 0.5118 0.5292 0.7782
O24 0.6630 0.3970 0.6279
O25 0.3475 0.1280 0.1108
O26 0.3423 0.0372 0.5677
O27 0.6988 0.6439 0.5601
O28 0.1741 0.3667 0.8909
O29 0.8300 0.9756 0.9534
O30 0.1910 0.0473 0.3806
O31 0.3162 0.9959 0.8870
O32 0.8090 0.9527 0.6194
O33 0.3012 0.3561 0.4399
O34 0.1525 0.6280 0.8892
O35 0.1988 0.8561 0.5601
O36 0.4784 0.1710 0.3474
O37 0.1700 0.0244 0.0466
O38 0.6525 0.8720 0.8892
O39 0.5216 0.8290 0.6526
O40 0.3259 0.8667 0.1091
O41 0.8370 0.8970 0.3721
O42 0.8162 0.5041 0.8870
O43 0.9784 0.3290 0.3474
O44 0.8423 0.4628 0.5677
O45 0.5378 0.1617 0.6570
O46 0.6741 0.1333 0.8909
O47 0.3090 0.5473 0.6194
O48 0.0216 0.6710 0.6526
S1 0.7788 0.9908 0.4694
S2 0.2788 0.5092 0.4694
S3 0.2109 0.5020 0.9628
S4 0.2212 0.0092 0.5306
S5 0.7891 0.4980 0.0372
S6 0.2891 0.0020 0.0372
S7 0.7212 0.4908 0.5306
S8 0.7109 0.9980 0.9628
Li1 0.8401 0.3565 0.7527
Li2 0.3401 0.1435 0.7527
Li3 0.7895 0.7513 0.7091
Li4 0.6599 0.8565 0.2473
Li5 0.2105 0.2487 0.2909
Li6 0.7105 0.2513 0.2909
Li7 0.2895 0.7487 0.7091
Li8 0.1599 0.6435 0.2473
H1 0.0617 0.7533 0.6176
H2 0.4348 0.2139 0.0164
H3 0.9354 0.3553 0.2561
H4 0.5586 0.4805 0.2810
H5 0.9287 0.9817 0.2706
H6 0.9286 0.7504 0.3776
H7 0.9414 0.9805 0.7190
H8 0.5713 0.4817 0.7294
H9 0.4476 0.7796 0.0530
H10 0.0646 0.6447 0.7439
H11 0.0586 0.0195 0.2810
H12 0.4414 0.5195 0.7190
H13 0.4354 0.1447 0.2561
H14 0.9121 0.6377 0.2566
H15 0.0879 0.3623 0.7434
H16 0.5714 0.2504 0.6224
H17 0.4383 0.2533 0.3824
H18 0.5646 0.8553 0.7439
H19 0.0714 0.2496 0.6224
H20 0.0713 0.0183 0.7294
H21 0.0524 0.2796 0.9470
H22 0.0652 0.7139 0.9836
H23 0.5652 0.7861 0.9836
H24 0.5879 0.1377 0.7434
H25 0.5617 0.7467 0.6176
H26 0.4121 0.8623 0.2566
H27 0.9476 0.7204 0.0530
H28 0.9348 0.2861 0.0164
H29 0.5524 0.2204 0.9470
H30 0.4287 0.5183 0.2706
H31 0.9383 0.2467 0.3824
H32 0.4286 0.7496 0.3776
Fe1 0.0000 0.5000 0.5000
Fe2 0.5000 0.5000 0.0000
Fe3 0.0000 0.0000 0.0000
Fe4 0.5000 0.0000 0.5000